Entry 1:
# Rb3V2Br9

A relaxed structure of Rb3V2Br9 (PBE, Materials Project).

The structure in extended XYZ format:
```
28
Lattice="3.795 -6.573 0.000 3.795 6.573 0.000 0.000 0.000 18.824" Properties=species:S:1:pos:R:3 pbc="T T T"
Rb 3.795 -2.191 10.728
Rb 3.795 2.191 1.316
Rb 3.795 2.191 8.096
Rb 3.795 -2.191 17.508
Rb 0.000 0.000 4.706
Rb 0.000 0.000 14.118
V 3.795 2.191 12.483
V 3.795 -2.191 6.341
V 3.795 2.191 15.753
V 3.795 -2.191 3.071
Br 5.599 -1.150 7.704
Br 3.795 4.274 11.120
Br 5.599 1.150 11.120
Br 3.795 -4.274 7.704
Br 1.991 -1.150 7.704
Br 1.991 1.150 17.116
Br 2.025 3.213 14.118
Br 5.599 1.150 17.116
Br 5.599 -1.150 1.708
Br 1.991 1.150 11.120
Br 5.565 3.213 14.118
Br 3.795 -0.147 4.706
Br 3.795 0.147 14.118
Br 3.795 4.274 17.116
Br 1.991 -1.150 1.708
Br 5.565 -3.213 4.706
Br 2.025 -3.213 4.706
Br 3.795 -4.274 1.708
```

Properties
The space group is P6_3/mmc. Its total energy is -54.0 eV per formula unit. The MP2020-corrected energy is -4.203 eV per atom. The calculation puts the formation energy at -1643 meV/atom.



Entry 2:
# RbVBr3

A relaxed structure of RbVBr3 (PBE, Materials Project).

The structure in extended XYZ format:
```
30
Lattice="-9.835 8.352 -2.096 0.772 -11.059 -6.927 -3.591 -3.091 4.534" Properties=species:S:1:pos:R:3 pbc="T T T"
Rb -3.955 -1.713 -1.801
Rb -8.796 -4.168 -2.566
Rb -0.430 -8.202 -3.433
Rb -7.516 4.765 -0.206
Rb -6.007 0.413 2.766
Rb -2.485 -6.031 1.162
V -3.584 -3.085 4.525
V -1.788 -1.539 2.258
V -2.957 -4.755 -5.073
V -8.288 0.170 -1.195
V -4.752 -6.300 -2.806
V -6.493 1.716 -3.462
Br -7.628 -1.939 0.267
Br -5.417 -4.195 -4.262
Br -3.743 -7.285 -5.043
Br -2.411 -5.108 -2.504
Br -10.634 -1.026 -1.491
Br -0.764 -2.524 0.018
Br -2.453 0.566 0.787
Br -4.126 -2.740 1.951
Br -2.034 -11.608 -2.437
Br -5.957 1.380 -0.889
Br -8.508 -3.040 -6.466
Br -10.952 4.713 1.625
Br -7.089 -7.514 -3.106
Br -5.784 -5.314 -0.573
Br -4.085 -8.397 -1.329
Br -8.960 2.262 -2.666
Br -7.261 -0.820 -3.422
Br -9.302 1.151 1.048
```

Properties
The space group is P6_3cm. Its total energy is -21.1 eV per formula unit. The MP2020-corrected energy is -4.544 eV per atom. For the largest piezoelectric modulus, the calculation gives 0.50 C/m2. The calculation puts the formation energy at -1549 meV/atom.



Entry 3:
# RbVBr3

A relaxed structure of RbVBr3 (PBE, Materials Project).

The structure in extended XYZ format:
```
30
Lattice="-12.634 0.287 3.392 9.035 -3.664 8.726 0.660 6.227 1.931" Properties=species:S:1:pos:R:3 pbc="T T T"
Rb 3.487 3.457 4.338
Rb -1.027 0.438 4.495
Rb -1.912 2.411 9.554
Rb 6.209 -0.894 6.319
Rb -3.688 4.765 2.572
Rb -8.286 1.749 2.752
V 2.160 0.934 7.966
V -5.099 1.916 6.084
V 0.000 0.000 0.000
V 0.330 3.113 0.966
V -4.769 5.029 7.050
V 1.830 -2.180 7.000
Br -5.518 2.938 8.490
Br 0.880 3.071 7.070
Br 4.330 2.449 7.898
Br -7.269 0.401 6.152
Br 2.579 -0.088 5.560
Br -1.843 1.602 1.022
Br 3.422 -1.207 8.878
Br 1.765 1.952 10.378
Br -6.361 4.057 5.171
Br -3.818 -0.221 6.979
Br 1.601 0.974 1.870
Br -0.077 4.133 3.374
Br -10.131 4.911 4.302
Br 8.094 1.588 8.788
Br -2.862 -1.284 10.675
Br -4.704 0.898 3.672
Br -0.016 -0.573 8.010
Br -2.923 3.423 6.039
```

Properties
The space group is P-3c1. Its total energy is -21.1 eV per formula unit. The MP2020-corrected energy is -4.544 eV per atom. The calculation puts the formation energy at -1549 meV/atom.



Entry 4:
# RbVBr3

A relaxed structure of RbVBr3 (PBE, Materials Project).

The structure in extended XYZ format:
```
10
Lattice="-5.210 2.848 -4.666 -1.328 -6.484 3.637 -2.624 3.318 4.956" Properties=species:S:1:pos:R:3 pbc="T T T"
Rb -4.573 0.567 -0.659
Rb -4.591 -0.885 4.587
V 0.000 0.000 0.000
V -1.312 1.659 2.478
Br -1.910 -0.784 1.655
Br -6.560 3.849 0.375
Br -2.603 -4.167 3.552
Br -3.841 2.363 2.809
Br -5.322 -2.680 1.118
Br -7.253 0.466 2.273
```

Properties
The space group is P6_3/mmc. Its total energy is -21.1 eV per formula unit. The MP2020-corrected energy is -4.544 eV per atom. The calculation puts the formation energy at -1549 meV/atom.



Entry 5:
# Rb2WBr6

A relaxed structure of Rb2WBr6 (PBE, Materials Project).

The structure in extended XYZ format:
```
9
Lattice="3.580 -6.738 -0.271 0.785 -4.164 6.350 -3.969 -6.468 0.839" Properties=species:S:1:pos:R:3 pbc="T T T"
Rb 0.297 -13.027 5.188
Rb 0.099 -4.342 1.729
W 0.000 0.000 0.000
Br -0.111 -11.063 1.937
Br -1.994 -7.518 2.080
Br 2.390 -9.851 4.838
Br 0.507 -6.306 4.980
Br -1.581 -9.709 5.422
Br 1.977 -7.660 1.496
```

Properties
The space group is Fm-3m. Its total energy is -34.4 eV per formula unit. The MP2020-corrected energy is -4.180 eV per atom. The calculation puts the formation energy at -1431 meV/atom.



Entry 6:
# Rb2ZnBr4

A relaxed structure of Rb2ZnBr4 (PBE, Materials Project).

The structure in extended XYZ format:
```
28
Lattice="-3.811 -1.807 6.596 -6.710 -5.020 -5.253 7.555 -11.398 1.242" Properties=species:S:1:pos:R:3 pbc="T T T"
Rb 0.888 -10.566 -0.059
Rb 1.469 -13.557 4.104
Rb -4.235 -12.523 1.091
Rb 1.269 -5.703 1.494
Rb -4.435 -4.669 -1.519
Rb -1.648 -3.416 5.082
Rb -3.854 -7.660 2.644
Rb -1.318 -14.810 -2.497
Zn -1.880 -2.469 0.560
Zn -0.336 -9.316 4.223
Zn -2.630 -8.910 -1.638
Zn -1.086 -15.757 2.024
Br -2.014 -11.258 -1.926
Br -4.807 -8.901 -0.553
Br -2.839 -4.297 1.845
Br 1.841 -9.325 3.138
Br -6.698 -9.798 2.721
Br -1.035 -7.615 -0.361
Br 3.940 -11.897 5.986
Br -4.731 -5.194 5.119
Br -6.906 -6.329 -3.402
Br -0.952 -6.968 4.510
Br 1.765 -13.032 -2.534
Br 3.801 -12.459 1.105
Br -6.767 -5.766 1.479
Br 3.732 -8.428 -0.136
Br -1.932 -10.611 2.946
Br -0.127 -13.929 0.739
```

Properties
The space group is Pnma. Its total energy is -19.8 eV per formula unit. The MP2020-corrected energy is -3.135 eV per atom. The calculation puts the formation energy at -1740 meV/atom. The calculation puts the energy above the lowest structure with this stoichiometry at 0.12 kcal/mol of atoms.



Entry 7:
# Rb2ZnBr4

A relaxed structure of Rb2ZnBr4 (PBE, Materials Project).

The structure in extended XYZ format:
```
28
Lattice="-6.005 -5.324 5.842 -4.546 -1.588 -6.120 2.909 -12.795 -8.672" Properties=species:S:1:pos:R:3 pbc="T T T"
Rb -4.136 -8.936 -1.891
Rb -3.308 -5.731 -8.378
Rb -2.960 -5.072 1.013
Rb -4.681 -14.635 -9.963
Rb -4.208 -16.688 -4.741
Rb -4.333 -13.977 -0.572
Rb -3.432 -3.020 -4.209
Rb -3.505 -10.772 -7.059
Zn -7.201 -5.919 -0.548
Zn -0.440 -13.789 -8.401
Zn -6.033 -12.570 -4.606
Zn -1.608 -7.138 -4.344
Br -1.473 -8.635 -9.091
Br -1.920 -14.994 -6.912
Br -6.454 -10.167 -4.436
Br -1.797 -2.395 -0.999
Br -6.254 -13.140 -6.972
Br -8.575 -7.511 -1.794
Br -6.167 -11.073 0.141
Br -5.721 -4.714 -2.038
Br -1.387 -6.567 -1.978
Br -5.844 -17.313 -7.951
Br -5.839 -7.159 1.043
Br 0.934 -12.197 -7.156
Br -3.912 -6.732 -5.020
Br -1.187 -9.541 -4.513
Br -1.802 -12.549 -9.993
Br -3.729 -12.976 -3.930
```

Properties
The space group is P2_1/c. Its total energy is -19.8 eV per formula unit. The MP2020-corrected energy is -3.139 eV per atom. The calculation puts the formation energy at -1743 meV/atom. The calculation puts the energy above the lowest structure with this stoichiometry at 0.05 kcal/mol of atoms.



Entry 8:
# Rb2ZnBr4

A relaxed structure of Rb2ZnBr4 (PBE, Materials Project).

The structure in extended XYZ format:
```
84
Lattice="-26.682 -9.711 8.322 3.060 -12.507 -4.783 2.936 -1.992 7.088" Properties=species:S:1:pos:R:3 pbc="T T T"
Rb -13.180 -18.315 6.959
Rb -7.505 -5.896 3.668
Rb -20.394 -12.600 7.122
Rb -0.292 -11.611 3.505
Rb -18.616 -10.441 11.503
Rb -2.017 -13.805 -0.750
Rb -16.285 -14.873 4.860
Rb -4.348 -9.373 5.893
Rb -18.021 -18.110 9.119
Rb -2.600 -6.145 1.663
Rb -16.388 -9.175 6.522
Rb -4.233 -15.080 4.260
Rb -22.216 -15.860 11.129
Rb 1.357 -8.233 -0.922
Rb -11.012 -17.062 1.719
Rb -9.848 -7.030 8.488
Rb -11.591 -9.299 4.138
Rb -9.270 -14.792 6.065
Rb 4.521 -11.776 1.200
Rb -25.382 -12.316 9.003
Rb -19.914 -20.238 4.664
Rb -0.846 -3.923 5.784
Rb -13.267 -12.539 8.507
Rb -7.493 -11.622 1.941
Zn -13.420 -8.210 9.734
Zn -7.375 -15.926 0.630
Zn -21.758 -16.525 6.418
Zn 0.963 -7.611 3.945
Zn -16.251 -19.224 3.525
Zn -4.448 -4.978 7.072
Zn -16.739 -14.122 9.593
Zn -3.959 -10.080 1.003
Zn -12.808 -13.320 3.803
Zn -7.860 -10.902 6.865
Zn -22.249 -11.476 12.663
Zn 1.580 -12.746 -1.995
Br -15.647 -8.970 10.251
Br -5.275 -15.081 -0.195
Br -19.651 -15.707 5.584
Br -1.271 -8.343 4.472
Br -10.081 -18.299 5.195
Br -10.926 -5.693 4.656
Br -23.240 -14.748 7.212
Br 2.232 -9.245 2.639
Br -12.932 -8.763 7.402
Br -9.170 -14.486 -0.196
Br -22.918 -17.678 4.601
Br 0.816 -5.571 2.605
Br -14.648 -7.263 4.028
Br -7.504 -15.953 3.059
Br -21.508 -18.100 8.255
Br -0.644 -5.115 -1.169
Br -14.148 -18.383 2.693
Br -6.681 -5.731 7.588
Br -18.976 -14.859 10.115
Br -1.853 -9.254 0.166
Br -19.531 -9.152 8.236
Br -0.822 -15.285 3.195
Br -15.197 -15.915 8.972
Br -5.156 -8.521 2.459
Br -15.146 -20.345 9.236
Br -4.193 -4.779 4.642
Br -16.806 -12.609 7.666
Br -2.533 -12.516 6.212
Br -16.574 -18.482 5.822
Br -2.830 -6.599 7.901
Br -15.811 -12.924 11.500
Br -3.592 -12.157 2.223
Br -10.533 -12.580 3.460
Br -9.876 -11.819 7.834
Br 2.396 -2.594 5.344
Br -22.805 -21.804 5.951
Br -14.363 -11.541 4.440
Br -6.642 -12.454 5.417
Br -18.946 -21.550 7.956
Br -2.059 -2.445 1.900
Br -13.679 -14.432 1.829
Br -8.329 -8.881 5.605
Br -22.047 -12.198 10.355
Br 0.039 -11.116 -2.920
Br -12.827 -14.891 5.694
Br -9.238 -8.385 1.605
Br -23.284 -10.356 6.869
Br 1.220 -12.919 0.430
```

Properties
The space group is Pna2_1. Its total energy is -19.8 eV per formula unit. The MP2020-corrected energy is -3.141 eV per atom. The calculation puts the formation energy at -1745 meV/atom. The calculation puts the energy above the lowest structure with this stoichiometry at 0.00 kcal/mol of atoms.